[1]
# LaOsN3

A relaxed structure of LaOsN3 (PBE, Materials Project).

As for the spin magnetization: 0.00 Bohr magnetons per cell.

abc: 3.9506 3.9506 3.9506
angles: 90.00 90.00 90.00
Atoms (fractional coordinates):
La  0.5000  0.5000  0.5000
Os  0.0000  0.0000  0.0000
N  0.5000  0.0000  0.0000
N  0.0000  0.5000  0.0000
N  0.0000  0.0000  0.5000

[2]
# Li2Cd

A relaxed structure of Li2Cd (PBE, Materials Project).

As for the spin magnetization: 0.00 Bohr magnetons per cell.

abc: 7.1355 7.1355 7.1355
angles: 60.00 60.00 60.00
Atoms (fractional coordinates):
Li  0.3984  0.3984  0.3984
Li  0.3984  0.3984  0.8048
Li  0.3984  0.8048  0.3984
Li  0.8516  0.8516  0.4452
Li  0.8516  0.8516  0.8516
Li  0.8048  0.3984  0.3984
Li  0.8516  0.4452  0.8516
Li  0.4452  0.8516  0.8516
Cd  0.1250  0.1250  0.1250
Cd  0.1250  0.1250  0.6250
Cd  0.1250  0.6250  0.1250
Cd  0.6250  0.1250  0.1250

[3]
# DySi

A relaxed structure of DySi (PBE, Materials Project).

abc: 5.6888 5.6888 3.8347
angles: 90.00 90.00 135.75
Atoms (fractional coordinates):
Dy  0.1401  0.8599  0.2500
Dy  0.8599  0.1401  0.7500
Si  0.4237  0.5763  0.2500
Si  0.5763  0.4237  0.7500

[4]
# Ce8C8Cl5

A relaxed structure of Ce8C8Cl5 (PBE, Materials Project).

As for the spin magnetization: 2.73 Bohr magnetons per cell.

abc: 16.5482 6.6543 7.5888
angles: 75.46 90.00 90.00
Atoms (fractional coordinates):
Ce  0.3062  0.3708  0.0762
Ce  0.0676  0.3800  0.1503
Ce  0.9488  0.8879  0.2195
Ce  0.0512  0.1121  0.7805
Ce  0.6938  0.6292  0.9238
Ce  0.4488  0.6121  0.7805
Ce  0.9324  0.6200  0.8497
Ce  0.1938  0.8708  0.0762
Ce  0.6732  0.8969  0.2936
Ce  0.5512  0.3879  0.2195
Ce  0.4324  0.8800  0.1503
Ce  0.3268  0.1031  0.7064
Ce  0.5676  0.1200  0.8497
Ce  0.8062  0.1292  0.9238
Ce  0.1732  0.6031  0.7064
Ce  0.8268  0.3969  0.2936
C  0.6599  0.2333  0.0381
C  0.2837  0.7160  0.8449
C  0.8401  0.7333  0.0381
C  0.7163  0.2840  0.1551
C  0.5385  0.7234  0.9703
C  0.3401  0.7667  0.9619
C  0.2163  0.2160  0.8449
C  0.4615  0.2766  0.0297
C  0.0858  0.7212  0.8975
C  0.0385  0.7766  0.0297
C  0.9142  0.2788  0.1025
C  0.5858  0.7788  0.1025
C  0.7837  0.7840  0.1551
C  0.1599  0.2667  0.9619
C  0.9615  0.2234  0.9703
C  0.4142  0.2212  0.8975
Cl  0.0974  0.9792  0.4153
Cl  0.2971  0.9753  0.3574
Cl  0.2029  0.4753  0.3574
Cl  0.9026  0.0208  0.5847
Cl  0.4026  0.4792  0.4153
Cl  0.7971  0.5247  0.6426
Cl  0.5000  0.0000  0.5000
Cl  0.5974  0.5208  0.5847
Cl  0.0000  0.5000  0.5000
Cl  0.7029  0.0247  0.6426

[5]
# Bi10Te2I4O17

A relaxed structure of Bi10Te2I4O17 (PBE, Materials Project).

As for the spin magnetization: 0.00 Bohr magnetons per cell.

abc: 10.6634 10.6634 7.9897
angles: 90.00 90.00 136.00
Atoms (fractional coordinates):
Bi  0.4898  0.9968  0.7566
Bi  0.4898  0.9968  0.2434
Bi  0.0032  0.5102  0.7566
Bi  0.0032  0.5102  0.2434
Bi  0.3772  0.6228  0.5000
Bi  0.3705  0.6295  0.0000
Bi  0.8699  0.1301  0.5000
Bi  0.8772  0.1228  0.0000
Bi  0.1029  0.8971  0.5000
Bi  0.6029  0.3971  0.0000
Te  0.6222  0.3778  0.5000
Te  0.1384  0.8616  0.0000
I  0.2367  0.2635  0.7510
I  0.2367  0.2635  0.2490
I  0.7365  0.7633  0.7510
I  0.7365  0.7633  0.2490
O  0.8973  0.5727  0.5000
O  0.8969  0.5758  0.0000
O  0.4273  0.1027  0.5000
O  0.4242  0.1031  0.0000
O  0.6625  0.3375  0.7345
O  0.6625  0.3375  0.2655
O  0.1605  0.8395  0.7364
O  0.1605  0.8395  0.2636
O  0.5635  0.9334  0.5000
O  0.5784  0.9380  0.0000
O  0.0666  0.4365  0.5000
O  0.0620  0.4216  0.0000
O  0.3202  0.6798  0.7417
O  0.3202  0.6798  0.2583
O  0.8151  0.1849  0.7515
O  0.8151  0.1849  0.2485
O  0.2342  0.7658  0.0000

[6]
# In3Ru

A relaxed structure of In3Ru (PBE, Materials Project).

abc: 7.0824 7.0824 7.3796
angles: 90.00 90.00 90.00
Atoms (fractional coordinates):
In  0.0000  0.5000  0.5000
In  0.5000  0.0000  0.0000
In  0.5000  0.0000  0.5000
In  0.0000  0.5000  0.0000
In  0.3453  0.6547  0.2383
In  0.6547  0.3453  0.2383
In  0.1547  0.1547  0.7383
In  0.8453  0.8453  0.7383
In  0.6547  0.3453  0.7617
In  0.3453  0.6547  0.7617
In  0.8453  0.8453  0.2617
In  0.1547  0.1547  0.2617
Ru  0.1551  0.8449  0.5000
Ru  0.8449  0.1551  0.5000
Ru  0.3449  0.3449  0.0000
Ru  0.6551  0.6551  0.0000

[7]
# BaPm

A relaxed structure of BaPm (PBE, Materials Project).

As for the spin magnetization: 0.54 Bohr magnetons per cell.

abc: 3.9676 3.9675 6.5226
angles: 90.00 90.00 120.00
Atoms (fractional coordinates):
Ba  0.6667  0.3333  0.7500
Pm  0.3333  0.6667  0.2500

[8]
# Ba2ErMgNbO6

A relaxed structure of Ba2ErMgNbO6 (PBE, Materials Project).

The calculation puts the relative energy among the computed polymorphs at 27.1 meV/atom. As for the spin magnetization: 0.04 Bohr magnetons per cell.

abc: 6.6592 6.0054 6.0054
angles: 59.89 63.03 63.03
Atoms (fractional coordinates):
Ba  0.9180  0.6943  0.6943
Ba  0.2959  0.2341  0.2341
Er  0.9214  0.0257  0.0257
Mg  0.4056  0.8639  0.8639
Nb  0.5023  0.4988  0.4988
O  0.2403  0.7560  0.7560
O  0.2413  0.7552  0.2467
O  0.6994  0.2705  0.7595
O  0.2413  0.2467  0.7552
O  0.6997  0.2701  0.2701
O  0.6994  0.7595  0.2705

The following E_tot values (in eV/atom) correspond, in order, to the records above: -8.5782 -1.5976 -5.8442 -7.2042 -5.2080 -4.5231 -3.0865 -6.9442.